Entry 1:
This record from the Materials Project database describes F after structural relaxation. The functional is meta-GGA r2SCAN.

Unit cell a=5.1126 b=3.1681 c=6.6216 alpha=90.00 beta=94.87 gamma=90.00
Space group C2/c (No. 15)
Inequivalent atoms, fractional coordinates:
1 F 0.2444 0.1598 0.4020 (multiplicity 8)

Results
V ... 13.4 Å³/atom
Electronic total energy ... -24.989 eV/cell
E_form ... 0.00 eV/atom
M_tot ... 0.0 μB per formula unit
Energy above the lowest structure with this stoichiometry ... 2 meV/atom
Density ... 2.36 g cm⁻³

---

Entry 2:
This record from the Materials Project database describes Sr2GeO4 after structural relaxation. The functional is meta-GGA r2SCAN.

Unit cell a=5.8489 b=7.2258 c=11.1099 alpha=90.00 beta=116.97 gamma=90.00
Space group P2_1/c (No. 14)
Inequivalent atoms, fractional coordinates:
1 Sr 0.0196 0.0030 0.3003 (multiplicity 4)
2 Sr 0.2995 0.6530 0.5710 (multiplicity 4)
3 Ge 0.3472 0.2167 0.5825 (multiplicity 4)
4 O 0.1438 0.1704 0.1387 (multiplicity 4)
5 O 0.2645 0.1699 0.9257 (multiplicity 4)
6 O 0.2762 0.5181 0.0609 (multiplicity 4)
7 O 0.3263 0.7474 0.3075 (multiplicity 4)

Results
V ... 14.9 Å³/atom
Electronic total energy ... -349.064 eV/cell
E_form ... -2.74 eV/atom
M_tot ... 0.0 μB per formula unit
Density ... 4.95 g cm⁻³

---

Entry 3:
This record from the Materials Project database describes ThB2Ru2 after structural relaxation. The functional is meta-GGA r2SCAN.

Unit cell a=6.5266 b=9.0273 c=10.1080 alpha=90.00 beta=90.00 gamma=90.00
Space group Fddd (No. 70, origin choice 2)
Inequivalent atoms, fractional coordinates:
1 Th 0.1250 0.1250 0.1250 (multiplicity 8)
2 B 0.1250 0.3070 0.6250 (multiplicity 16)
3 Ru 0.1250 0.1250 0.4880 (multiplicity 16)

Results
V ... 14.9 Å³/atom
Electronic total energy ... -1137.941 eV/cell
E_form ... -0.65 eV/atom
M_tot ... 0.0 μB per formula unit
Density ... 10.17 g cm⁻³

---

Entry 4:
This record from the Materials Project database describes Rb3MnH5 after structural relaxation. The functional is meta-GGA r2SCAN.

Unit cell a=7.9334 b=7.9334 c=12.0631 alpha=90.00 beta=90.00 gamma=90.00
Space group I4/mcm (No. 140)
Inequivalent atoms, fractional coordinates:
1 Rb 0.0000 0.0000 0.2500 (multiplicity 4)
2 Rb 0.1821 0.3179 0.0000 (multiplicity 8)
3 Mn 0.0000 0.5000 0.2500 (multiplicity 4)
4 H 0.0000 0.0000 0.0000 (multiplicity 4)
5 H 0.1248 0.3752 0.3389 (multiplicity 16)

Results
V ... 21.1 Å³/atom
Electronic total energy ... -303.908 eV/cell
E_form ... -0.25 eV/atom
M_tot ... 5.0 μB per formula unit
Density ... 2.77 g cm⁻³

---

Entry 5:
This record from the Materials Project database describes PuReB4 after structural relaxation. The functional is meta-GGA r2SCAN.

Unit cell a=5.9885 b=11.5958 c=3.6140 alpha=90.00 beta=90.00 gamma=90.00
Space group Pbam (No. 55)
Inequivalent atoms, fractional coordinates:
1 Pu 0.1254 0.1502 0.0000 (multiplicity 4)
2 Re 0.1326 0.4089 0.0000 (multiplicity 4)
3 B 0.0242 0.6915 0.5000 (multiplicity 4)
4 B 0.1132 0.5468 0.5000 (multiplicity 4)
5 B 0.1370 0.9688 0.5000 (multiplicity 4)
6 B 0.2125 0.8147 0.5000 (multiplicity 4)

Results
V ... 10.5 Å³/atom
Electronic total energy ... -686.795 eV/cell
E_form ... -0.59 eV/atom
M_tot ... 4.5 μB per formula unit
Density ... 12.53 g cm⁻³

---

Entry 6:
This record from the Materials Project database describes Rb2PrCl5 after structural relaxation. The functional is meta-GGA r2SCAN.

Unit cell a=13.1836 b=8.9759 c=8.2429 alpha=90.00 beta=90.00 gamma=90.00
Space group Pnma (No. 62)
Inequivalent atoms, fractional coordinates:
1 Rb 0.1709 0.0061 0.0578 (multiplicity 8)
2 Pr 0.0055 0.2500 0.5730 (multiplicity 4)
3 Cl 0.0099 0.2500 0.9129 (multiplicity 4)
4 Cl 0.0725 0.5427 0.6641 (multiplicity 8)
5 Cl 0.1793 0.2500 0.3806 (multiplicity 4)
6 Cl 0.2005 0.7500 0.3444 (multiplicity 4)

Results
V ... 30.5 Å³/atom
Electronic total energy ... -429.865 eV/cell
E_form ... -2.43 eV/atom
M_tot ... 0.0 μB per formula unit
Density ... 3.33 g cm⁻³

---

Entry 7:
This record from the Materials Project database describes Nb2Co4O9 after structural relaxation. The functional is meta-GGA r2SCAN.

Unit cell a=5.0574 b=5.1028 c=14.2607 alpha=92.44 beta=90.28 gamma=119.01
Space group P1 (No. 1)
Inequivalent atoms, fractional coordinates:
1 Nb 0.0000 0.0000 0.0000 (multiplicity 1)
2 Nb 0.0059 0.9991 0.4975 (multiplicity 1)
3 Nb 0.9722 0.9484 0.2129 (multiplicity 1)
4 Nb 0.9830 0.9506 0.7104 (multiplicity 1)
5 Co 0.3152 0.6371 0.8413 (multiplicity 1)
6 Co 0.3174 0.6306 0.0353 (multiplicity 1)
7 Co 0.3251 0.6373 0.3410 (multiplicity 1)
8 Co 0.3359 0.6422 0.5479 (multiplicity 1)
9 Co 0.6441 0.3062 0.1627 (multiplicity 1)
10 Co 0.6527 0.3098 0.3695 (multiplicity 1)
11 Co 0.6636 0.3185 0.6750 (multiplicity 1)
12 Co 0.6678 0.3131 0.8690 (multiplicity 1)
13 O 0.0152 0.3302 0.4375 (multiplicity 1)
14 O 0.0199 0.6454 0.9447 (multiplicity 1)
15 O 0.2796 0.9525 0.1040 (multiplicity 1)
16 O 0.3029 0.2774 0.6072 (multiplicity 1)
17 O 0.3178 0.9613 0.4358 (multiplicity 1)
18 O 0.3259 0.9911 0.7781 (multiplicity 1)
19 O 0.3271 0.3303 0.9394 (multiplicity 1)
20 O 0.3339 0.2908 0.2693 (multiplicity 1)
21 O 0.6445 0.6566 0.4411 (multiplicity 1)
22 O 0.6554 0.6196 0.7708 (multiplicity 1)
23 O 0.6567 0.9587 0.9323 (multiplicity 1)
24 O 0.6605 0.9860 0.2748 (multiplicity 1)
25 O 0.6775 0.6712 0.1031 (multiplicity 1)
26 O 0.7008 0.9962 0.6066 (multiplicity 1)
27 O 0.9627 0.3048 0.7656 (multiplicity 1)
28 O 0.9629 0.6172 0.2729 (multiplicity 1)
29 O 0.9814 0.2593 0.1085 (multiplicity 1)
30 O 0.9991 0.6896 0.6020 (multiplicity 1)

Results
V ... 10.7 Å³/atom
Electronic total energy ... -368.238 eV/cell
E_form ... -1.86 eV/atom
M_tot ... 8.0 μB per formula unit
Energy above the lowest structure with this stoichiometry ... 37 meV/atom
Density ... 5.84 g cm⁻³

---

Entry 8:
This record from the Materials Project database describes Ga after structural relaxation. The functional is meta-GGA r2SCAN.

Unit cell a=2.7688 b=2.7688 c=4.6224 alpha=90.00 beta=90.00 gamma=90.00
Space group I4/mmm (No. 139)
Inequivalent atoms, fractional coordinates:
1 Ga 0.0000 0.0000 0.0000 (multiplicity 2)

Results
V ... 17.7 Å³/atom
Electronic total energy ... -22.630 eV/cell
E_form ... 0.13 eV/atom
M_tot ... 0.0 μB per formula unit
Energy above the lowest structure with this stoichiometry ... 128 meV/atom
Density ... 6.53 g cm⁻³

---

Entry 9:
This record from the Materials Project database describes Hf2MnCo after structural relaxation. The functional is meta-GGA r2SCAN.

Unit cell a=6.2694 b=6.2694 c=6.2694 alpha=90.00 beta=90.00 gamma=90.00
Space group Fm-3m (No. 225)
Inequivalent atoms, fractional coordinates:
1 Hf 0.2500 0.2500 0.2500 (multiplicity 8)
2 Mn 0.0000 0.0000 0.0000 (multiplicity 4)
3 Co 0.0000 0.0000 0.5000 (multiplicity 4)

Results
V ... 15.4 Å³/atom
Electronic total energy ... -476.720 eV/cell
E_form ... -0.24 eV/atom
M_tot ... 0.3 μB per formula unit
Density ... 12.69 g cm⁻³

---

Entry 10:
This record from the Materials Project database describes NaPrTe2 after structural relaxation. The functional is meta-GGA r2SCAN.

Unit cell a=12.9466 b=12.9466 c=12.9466 alpha=90.00 beta=90.00 gamma=90.00
Space group Fd-3m (No. 227, origin choice 2)
Inequivalent atoms, fractional coordinates:
1 Na 0.0000 0.0000 0.0000 (multiplicity 16)
2 Pr 0.0000 0.0000 0.5000 (multiplicity 16)
3 Te 0.0023 0.0023 0.7477 (multiplicity 32)

Results
V ... 33.9 Å³/atom
Electronic total energy ... -1442.541 eV/cell
E_form ... -1.59 eV/atom
M_tot ... 0.0 μB per formula unit
Density ... 5.13 g cm⁻³

---

Entry 11:
This record from the Materials Project database describes Rb3H12N5 after structural relaxation. The functional is meta-GGA r2SCAN.

Unit cell a=9.9339 b=9.9339 c=9.9339 alpha=90.00 beta=90.00 gamma=90.00
Space group I2_13 (No. 199)
Inequivalent atoms, fractional coordinates:
1 Rb 0.0000 0.2500 0.4196 (multiplicity 12)
2 H 0.0159 0.4497 0.1873 (multiplicity 24)
3 H 0.1210 0.2987 0.7576 (multiplicity 24)
4 N 0.0000 0.2500 0.9191 (multiplicity 12)
5 N 0.1717 0.3283 0.6717 (multiplicity 8)

Results
V ... 12.3 Å³/atom
Electronic total energy ... -547.653 eV/cell
E_form ... -0.40 eV/atom
M_tot ... 0.0 μB per formula unit
Density ... 2.29 g cm⁻³

---

Entry 12:
This record from the Materials Project database describes In2O3 after structural relaxation. The functional is meta-GGA r2SCAN.

Unit cell a=7.9878 b=5.5274 c=5.6203 alpha=90.00 beta=90.00 gamma=90.00
Space group Pbcn (No. 60)
Inequivalent atoms, fractional coordinates:
1 In 0.1147 0.2475 0.0286 (multiplicity 8)
2 O 0.0000 0.0426 0.7500 (multiplicity 4)
3 O 0.1506 0.3902 0.3955 (multiplicity 8)

Results
V ... 12.4 Å³/atom
Electronic total energy ... -288.670 eV/cell
E_form ... -1.82 eV/atom
M_tot ... 0.0 μB per formula unit
Density ... 7.43 g cm⁻³

---

- Which of these has the highest density?
  Hf2MnCo

---

Copy entry 5 word for word.
This record from the Materials Project database describes PuReB4 after structural relaxation. The functional is meta-GGA r2SCAN.

Unit cell a=5.9885 b=11.5958 c=3.6140 alpha=90.00 beta=90.00 gamma=90.00
Space group Pbam (No. 55)
Inequivalent atoms, fractional coordinates:
1 Pu 0.1254 0.1502 0.0000 (multiplicity 4)
2 Re 0.1326 0.4089 0.0000 (multiplicity 4)
3 B 0.0242 0.6915 0.5000 (multiplicity 4)
4 B 0.1132 0.5468 0.5000 (multiplicity 4)
5 B 0.1370 0.9688 0.5000 (multiplicity 4)
6 B 0.2125 0.8147 0.5000 (multiplicity 4)

Results
V ... 10.5 Å³/atom
Electronic total energy ... -686.795 eV/cell
E_form ... -0.59 eV/atom
M_tot ... 4.5 μB per formula unit
Density ... 12.53 g cm⁻³